[1]
Entry from the Materials Project: a relaxed structure of Na3BSbAsO7 (PBE-GGA).

Geometry as extended XYZ:
```
26
Lattice="5.5018 0.0000 0.0000 0.0000 7.1086 0.0000 -0.5300 0.0000 9.5392" Properties=species:S:1:pos:R:3 pbc="T T T"
Na 1.0606 1.7771 4.1278
Na 0.9734 3.6081 7.0694
Na 0.9734 7.0548 7.0694
Na 3.9984 0.0538 2.4698
Na 3.9984 3.5005 2.4698
Na 3.9113 5.3314 5.4114
B 1.2432 5.3314 4.1711
B 3.7287 1.7771 5.3681
Sb 1.1504 5.3314 1.5707
Sb 3.8214 1.7771 7.9685
As 1.5071 1.7771 0.9373
As 3.4648 5.3314 8.6019
O 0.0639 5.3314 3.3416
O 0.4758 1.7771 8.8108
O 0.8697 0.4490 1.8726
O 0.8697 3.1053 1.8726
O 1.1895 5.3314 5.4991
O 1.7743 5.3314 8.5386
O 2.4211 5.3314 3.3867
O 2.5508 1.7771 6.1525
O 3.1975 1.7771 1.0006
O 3.7823 1.7771 4.0401
O 4.1022 4.0033 7.6666
O 4.1022 6.6595 7.6666
O 4.4961 5.3314 0.7284
O 4.9080 1.7771 6.1976
```

M_tot: 0.00 μB per formula unit
E (MP2020): -6.28 eV per atom

[2]
Entry from the Materials Project: a relaxed structure of EuZnGa (PBE-GGA).

Geometry as extended XYZ:
```
12
Lattice="10.7609 0.0000 0.0000 0.0000 4.6358 0.0000 -5.3032 0.0000 5.4407" Properties=species:S:1:pos:R:3 pbc="T T T"
Eu -1.0917 0.0000 1.6161
Eu 1.1689 2.3179 3.8246
Eu 4.2888 2.3179 1.6161
Eu 6.5493 0.0000 3.8246
Zn -2.0707 2.3179 3.9384
Zn 2.1479 0.0000 1.5023
Zn 3.3098 0.0000 3.9384
Zn 7.5283 2.3179 1.5023
Ga 1.1999 2.3179 0.5678
Ga -1.1227 0.0000 4.8729
Ga 6.5803 0.0000 0.5678
Ga 4.2578 2.3179 4.8729
```

[3]
Entry from the Materials Project: a relaxed structure of Sr5Cd2Sb5F (PBE-GGA).

Geometry as extended XYZ:
```
26
Lattice="2.4005 -11.2196 0.0000 2.4005 11.2196 0.0000 0.0000 0.0000 14.9072" Properties=species:S:1:pos:R:3 pbc="T T T"
Sr 0.0000 0.0000 0.0000
Sr 0.0000 0.0000 7.4536
Sr 2.4005 9.0257 11.1804
Sr 2.4005 8.9773 3.7268
Sr 2.4005 5.1330 9.2397
Sr 2.4005 5.1330 13.1211
Sr 2.4005 -5.1330 1.7861
Sr 2.4005 -5.1330 5.6675
Sr 2.4005 -8.9773 11.1804
Sr 2.4005 -9.0257 3.7268
Cd 2.4005 2.9521 1.2860
Cd 2.4005 2.9521 6.1677
Cd 2.4005 -2.9521 8.7396
Cd 2.4005 -2.9521 13.6213
Sb 2.4005 7.8747 0.3011
Sb 2.4005 7.8747 7.1525
Sb 2.4005 4.6385 3.7268
Sb 2.4005 0.1130 2.2989
Sb 2.4005 0.1130 5.1547
Sb 2.4005 -0.1130 9.7525
Sb 2.4005 -0.1130 12.6083
Sb 2.4005 -4.6385 11.1804
Sb 2.4005 -7.8747 7.7547
Sb 2.4005 -7.8747 14.6062
F 2.4005 3.4952 11.1804
F 2.4005 -3.4952 3.7268
```

M_tot: 0.00 μB per formula unit
E (MP2020): -3.74 eV per atom

[4]
Entry from the Materials Project: a relaxed structure of LiMg6Sb (PBE-GGA).

Geometry as extended XYZ:
```
16
Lattice="-3.9515 0.7632 -3.1028 -3.9777 -0.0600 5.0510 1.2393 10.9100 1.1054" Properties=species:S:1:pos:R:3 pbc="T T T"
Li -1.5743 3.6190 2.8952
Li 1.0341 9.1039 0.9224
Mg -0.8751 0.8662 1.3275
Mg -2.9025 0.8356 3.9020
Mg -0.9543 9.0774 3.4483
Mg -1.8297 10.3577 0.7166
Mg -3.8297 10.3275 3.2563
Mg -3.1380 7.6290 1.7115
Mg -2.2442 6.2912 4.4057
Mg -0.2940 6.3206 1.9292
Mg 0.4149 3.6524 0.3701
Mg -4.4382 4.8727 2.6894
Mg -2.4605 4.9025 0.1780
Mg -1.7688 2.2039 -1.3667
Sb -3.7530 2.2144 1.1629
Sb -1.1445 7.6994 -0.8099
```

polymorph energy (0 for the lowest one): 0.000 eV/atom
M_tot: 0.00 μB per formula unit
E (MP2020): -2.08 eV per atom

[5]
Entry from the Materials Project: a relaxed structure of Cr2CoSeS3 (PBE-GGA).

Geometry as extended XYZ:
```
14
Lattice="-3.4978 3.4998 4.9327 3.4978 -3.4998 4.9327 3.4978 3.4998 -4.9327" Properties=species:S:1:pos:R:3 pbc="T T T"
Cr 0.0000 1.7475 0.0000
Cr 0.0000 5.2521 0.0000
Cr 1.8799 3.4998 2.5422
Cr 1.6179 0.0000 7.4749
Co 3.4978 0.0000 1.2219
Co 0.0000 0.0000 3.9592
Se 0.0000 1.8025 2.5244
Se 0.0000 5.1971 2.5244
S 3.4978 -1.7649 2.5524
S 3.4978 1.7649 2.5524
S 1.6370 3.4998 0.1488
S 1.8608 0.0000 5.0815
S -1.8576 3.4998 4.9275
S 1.8576 3.4998 4.9275
```

M_tot: 4.30 μB per formula unit
E (MP2020): -6.79 eV per atom

[6]
Entry from the Materials Project: a relaxed structure of CaSiBHO5 (PBE-GGA).

Geometry as extended XYZ:
```
36
Lattice="5.8524 0.0000 0.0000 0.0000 8.4445 0.0000 -0.0980 0.0000 8.2551" Properties=species:S:1:pos:R:3 pbc="T T T"
Ca 0.5942 1.7296 2.6319
Ca 0.5452 2.4926 6.7595
Ca 5.2093 5.9518 1.4956
Ca 5.1603 6.7148 5.6231
Si 2.5564 4.6011 1.2244
Si 2.5074 8.0656 5.3519
Si 3.2470 0.3789 2.9032
Si 3.1980 3.8433 7.0307
B 1.8589 5.3357 5.0739
B 1.9079 7.3310 0.9464
B 3.8465 1.1135 7.3086
B 3.8955 3.1088 3.1811
H 1.0089 4.6258 3.0290
H 0.9599 8.0409 7.1565
H 4.7946 0.4036 1.0985
H 4.7456 3.8186 5.2261
O 0.7693 5.5519 4.3066
O 0.8183 7.1148 0.1790
O 1.0550 4.2734 2.0729
O 1.0060 8.3933 6.2004
O 1.7677 0.1878 3.9260
O 1.7187 4.0344 8.0536
O 2.2280 0.1174 1.5080
O 2.1790 4.1048 5.6355
O 2.7542 6.2833 1.3298
O 2.7052 6.3834 5.4573
O 3.0492 2.0611 2.7978
O 3.0002 2.1612 6.9253
O 3.5754 4.3396 2.6195
O 3.5264 8.3271 6.7470
O 4.0358 4.4100 0.2015
O 3.9868 8.2566 4.3290
O 4.7484 0.0512 2.0547
O 4.6994 4.1711 6.1822
O 4.9361 1.3297 8.0760
O 4.9851 2.8925 3.9485
```

polymorph energy (0 for the lowest one): 0.157 eV/atom
M_tot: 0.00 μB per formula unit
E (MP2020): -7.47 eV per atom

Number 1: formation energy from the elements -48.83 kcal/mol of atoms, energy -5.907 eV/atom. Number 2: formation energy from the elements -10.50 kcal/mol of atoms, energy -5.304 eV/atom. Number 3: formation energy from the elements -28.04 kcal/mol of atoms, energy -3.707 eV/atom. Number 4: formation energy from the elements -2.84 kcal/mol of atoms, energy -2.054 eV/atom. Number 5: formation energy from the elements -17.20 kcal/mol of atoms, energy -6.576 eV/atom. Number 6: formation energy from the elements -64.00 kcal/mol of atoms, energy -7.087 eV/atom.